Record 1
# Cs4TeSe15

A relaxed Cs4TeSe15 crystal (GGA-PBE, the Materials Project).

## Properties
M_tot in μB per formula unit: 0.00
Crystal system: orthorhombic

Cell lengths 10.410, 14.362, 19.994 Å; angles 90.00, 90.00, 90.00 degrees
Positions (direct):
Cs 0.031 0.118 0.250
Cs 0.031 0.382 0.750
Cs 0.115 0.250 0.000
Cs 0.115 0.250 0.500
Cs 0.342 0.618 0.750
Cs 0.342 0.882 0.250
Cs 0.398 0.750 0.000
Cs 0.398 0.750 0.500
Cs 0.602 0.250 0.000
Cs 0.602 0.250 0.500
Cs 0.658 0.118 0.750
Cs 0.658 0.382 0.250
Cs 0.885 0.750 0.000
Cs 0.885 0.750 0.500
Cs 0.969 0.618 0.250
Cs 0.969 0.882 0.750
Te 0.465 0.617 0.250
Te 0.465 0.883 0.750
Te 0.535 0.117 0.250
Te 0.535 0.383 0.750
Se 0.073 0.583 0.615
Se 0.073 0.583 0.885
Se 0.073 0.917 0.115
Se 0.073 0.917 0.385
Se 0.140 0.740 0.626
Se 0.140 0.740 0.874
Se 0.140 0.760 0.126
Se 0.140 0.760 0.374
Se 0.183 0.136 0.750
Se 0.183 0.364 0.250
Se 0.190 0.511 0.527
Se 0.190 0.511 0.973
Se 0.190 0.989 0.027
Se 0.190 0.989 0.473
Se 0.293 0.572 0.151
Se 0.293 0.572 0.349
Se 0.293 0.928 0.651
Se 0.293 0.928 0.849
Se 0.309 0.095 0.655
Se 0.309 0.095 0.845
Se 0.309 0.405 0.155
Se 0.309 0.405 0.345
Se 0.348 0.167 0.144
Se 0.348 0.167 0.356
Se 0.348 0.333 0.644
Se 0.348 0.333 0.856
Se 0.393 0.040 0.071
Se 0.393 0.040 0.429
Se 0.393 0.460 0.571
Se 0.393 0.460 0.929
Se 0.607 0.540 0.071
Se 0.607 0.540 0.429
Se 0.607 0.960 0.571
Se 0.607 0.960 0.929
Se 0.652 0.667 0.144
Se 0.652 0.667 0.356
Se 0.652 0.833 0.644
Se 0.652 0.833 0.856
Se 0.691 0.595 0.655
Se 0.691 0.595 0.845
Se 0.691 0.905 0.155
Se 0.691 0.905 0.345
Se 0.707 0.072 0.151
Se 0.707 0.072 0.349
Se 0.707 0.428 0.651
Se 0.707 0.428 0.849
Se 0.810 0.011 0.527
Se 0.810 0.011 0.973
Se 0.810 0.489 0.027
Se 0.810 0.489 0.473
Se 0.817 0.636 0.750
Se 0.817 0.864 0.250
Se 0.860 0.240 0.626
Se 0.860 0.240 0.874
Se 0.860 0.260 0.126
Se 0.860 0.260 0.374
Se 0.927 0.083 0.615
Se 0.927 0.083 0.885
Se 0.927 0.417 0.115
Se 0.927 0.417 0.385

Record 2
# ZrH16C5N2O3F4

A relaxed ZrH16C5N2O3F4 crystal (GGA-PBE, the Materials Project).

## Properties
M_tot in μB per formula unit: 0.00
Crystal system: orthorhombic

Cell lengths 15.299, 9.723, 9.723 Å; angles 60.65, 90.00, 90.00 degrees
Positions (direct):
Zr 0.104 0.095 0.905
Zr 0.396 0.595 0.405
Zr 0.604 0.405 0.595
Zr 0.896 0.905 0.095
H 0.008 0.940 0.400
H 0.023 0.172 0.439
H 0.067 0.764 0.523
H 0.086 0.703 0.995
H 0.092 0.480 0.531
H 0.113 0.526 0.990
H 0.117 0.920 0.352
H 0.121 0.187 0.528
H 0.124 0.185 0.343
H 0.153 0.486 0.406
H 0.157 0.547 0.732
H 0.197 0.646 0.005
H 0.202 0.732 0.588
H 0.210 0.674 0.357
H 0.247 0.123 0.274
H 0.250 0.312 0.696
H 0.250 0.812 0.196
H 0.253 0.623 0.774
H 0.290 0.174 0.857
H 0.298 0.232 0.088
H 0.303 0.146 0.505
H 0.343 0.047 0.232
H 0.347 0.986 0.906
H 0.376 0.685 0.843
H 0.379 0.687 0.028
H 0.383 0.420 0.852
H 0.387 0.026 0.490
H 0.408 0.980 0.031
H 0.414 0.203 0.495
H 0.433 0.264 0.023
H 0.477 0.672 0.939
H 0.492 0.440 0.900
H 0.508 0.900 0.440
H 0.523 0.939 0.672
H 0.567 0.023 0.264
H 0.586 0.495 0.203
H 0.592 0.031 0.980
H 0.613 0.490 0.026
H 0.617 0.852 0.420
H 0.621 0.028 0.687
H 0.624 0.843 0.685
H 0.653 0.906 0.986
H 0.657 0.232 0.047
H 0.697 0.505 0.146
H 0.702 0.088 0.232
H 0.710 0.857 0.174
H 0.747 0.774 0.623
H 0.750 0.196 0.812
H 0.750 0.696 0.312
H 0.753 0.274 0.123
H 0.790 0.357 0.674
H 0.798 0.588 0.732
H 0.803 0.005 0.646
H 0.843 0.732 0.547
H 0.847 0.406 0.486
H 0.876 0.343 0.185
H 0.879 0.528 0.187
H 0.883 0.352 0.920
H 0.887 0.990 0.526
H 0.908 0.531 0.480
H 0.914 0.995 0.703
H 0.933 0.523 0.764
H 0.977 0.439 0.172
H 0.992 0.400 0.940
C 0.072 0.892 0.450
C 0.092 0.137 0.459
C 0.114 0.889 0.701
C 0.133 0.648 0.953
C 0.190 0.655 0.714
C 0.310 0.155 0.214
C 0.367 0.148 0.453
C 0.386 0.389 0.201
C 0.408 0.637 0.959
C 0.428 0.392 0.950
C 0.572 0.950 0.392
C 0.592 0.959 0.637
C 0.614 0.201 0.389
C 0.633 0.453 0.148
C 0.690 0.214 0.155
C 0.810 0.714 0.655
C 0.867 0.953 0.648
C 0.886 0.701 0.889
C 0.908 0.459 0.137
C 0.928 0.450 0.892
N 0.101 0.966 0.543
N 0.137 0.735 0.780
N 0.363 0.235 0.280
N 0.399 0.466 0.043
N 0.601 0.043 0.466
N 0.637 0.280 0.235
N 0.863 0.780 0.735
N 0.899 0.543 0.966
O 0.104 0.965 0.777
O 0.116 0.556 0.427
O 0.235 0.220 0.800
O 0.265 0.720 0.300
O 0.384 0.056 0.927
O 0.396 0.465 0.277
O 0.604 0.277 0.465
O 0.616 0.927 0.056
O 0.735 0.300 0.720
O 0.765 0.800 0.220
O 0.884 0.427 0.556
O 0.896 0.777 0.965
F 0.039 0.892 0.098
F 0.078 0.293 0.699
F 0.101 0.205 0.031
F 0.206 0.950 0.034
F 0.294 0.450 0.534
F 0.399 0.705 0.531
F 0.422 0.793 0.199
F 0.461 0.392 0.598
F 0.539 0.598 0.392
F 0.578 0.199 0.793
F 0.601 0.531 0.705
F 0.706 0.534 0.450
F 0.794 0.034 0.950
F 0.899 0.031 0.205
F 0.922 0.699 0.293
F 0.961 0.098 0.892

Record 3
# Zr2CoTc

A relaxed Zr2CoTc crystal (GGA-PBE, the Materials Project).

## Properties
Crystal system: cubic

Cell lengths 4.605, 4.605, 4.605 Å; angles 60.00, 60.00, 60.00 degrees
Positions (direct):
Zr 0.250 0.250 0.250
Zr 0.750 0.750 0.750
Co 0.000 0.000 0.000
Tc 0.500 0.500 0.500

Record 4
# Na2CuP4O12

A relaxed Na2CuP4O12 crystal (GGA-PBE, the Materials Project).

## Properties
M_tot in μB per formula unit: 1.00
Crystal system: monoclinic

Cell lengths 8.259, 8.259, 7.910 Å; angles 92.98, 92.98, 109.67 degrees
Positions (direct):
Na 0.029 0.316 0.194
Na 0.316 0.029 0.694
Na 0.684 0.971 0.306
Na 0.971 0.684 0.806
Cu 0.363 0.637 0.250
Cu 0.637 0.363 0.750
P 0.051 0.740 0.375
P 0.260 0.949 0.125
P 0.288 0.436 0.823
P 0.436 0.288 0.323
P 0.564 0.712 0.677
P 0.712 0.564 0.177
P 0.740 0.051 0.875
P 0.949 0.260 0.625
O 0.086 0.811 0.555
O 0.104 0.896 0.250
O 0.126 0.603 0.315
O 0.154 0.335 0.663
O 0.189 0.914 0.945
O 0.194 0.460 0.973
O 0.335 0.154 0.163
O 0.340 0.415 0.340
O 0.378 0.622 0.750
O 0.397 0.874 0.185
O 0.415 0.340 0.840
O 0.460 0.194 0.473
O 0.540 0.806 0.527
O 0.585 0.660 0.160
O 0.603 0.126 0.815
O 0.622 0.378 0.250
O 0.660 0.585 0.660
O 0.665 0.846 0.837
O 0.806 0.540 0.027
O 0.811 0.086 0.055
O 0.846 0.665 0.337
O 0.874 0.397 0.685
O 0.896 0.104 0.750
O 0.914 0.189 0.445

Record 5
# AcSbAu2

A relaxed AcSbAu2 crystal (GGA-PBE, the Materials Project).

## Properties
Crystal system: cubic

Cell lengths 5.268, 5.268, 5.268 Å; angles 60.00, 60.00, 60.00 degrees
Positions (direct):
Ac 0.000 0.000 0.000
Sb 0.500 0.500 0.500
Au 0.250 0.250 0.250
Au 0.750 0.750 0.750

Record 6
# Sc2Cr4Si5

A relaxed Sc2Cr4Si5 crystal (GGA-PBE, the Materials Project).

## Properties
Crystal system: orthorhombic

Cell lengths 9.237, 9.237, 9.237 Å; angles 131.69, 58.37, 149.25 degrees
Positions (direct):
Sc 0.142 0.119 0.261
Sc 0.358 0.619 0.977
Sc 0.642 0.381 0.023
Sc 0.858 0.881 0.739
Cr 0.059 0.750 0.309
Cr 0.062 0.746 0.808
Cr 0.438 0.246 0.684
Cr 0.441 0.750 0.691
Cr 0.559 0.250 0.309
Cr 0.562 0.754 0.316
Cr 0.938 0.254 0.192
Cr 0.941 0.250 0.691
Si 0.064 0.422 0.486
Si 0.211 0.793 0.004
Si 0.250 0.250 0.000
Si 0.289 0.293 0.582
Si 0.436 0.922 0.359
Si 0.564 0.078 0.641
Si 0.711 0.707 0.418
Si 0.750 0.750 0.000
Si 0.789 0.207 0.996
Si 0.936 0.578 0.514

Record 7
# Y5BiPt2

A relaxed Y5BiPt2 crystal (GGA-PBE, the Materials Project).

## Properties
Crystal system: tetragonal

Cell lengths 8.897, 8.897, 8.897 Å; angles 127.89, 127.89, 76.80 degrees
Positions (direct):
Y 0.000 0.000 0.000
Y 0.020 0.520 0.813
Y 0.207 0.020 0.500
Y 0.293 0.793 0.813
Y 0.480 0.293 0.500
Y 0.500 0.500 0.000
Y 0.520 0.707 0.500
Y 0.707 0.207 0.187
Y 0.793 0.980 0.500
Y 0.980 0.480 0.187
Bi 0.250 0.250 0.000
Bi 0.750 0.750 0.000
Pt 0.138 0.362 0.500
Pt 0.362 0.862 0.223
Pt 0.638 0.138 0.777
Pt 0.862 0.638 0.500

Record 8
# Ca3Cd2

A relaxed Ca3Cd2 crystal (GGA-PBE, the Materials Project).

## Properties
Crystal system: tetragonal

Cell lengths 8.904, 8.904, 7.985 Å; angles 90.00, 90.00, 90.00 degrees
Positions (direct):
Ca 0.000 0.500 0.250
Ca 0.000 0.500 0.750
Ca 0.146 0.146 0.000
Ca 0.197 0.197 0.500
Ca 0.303 0.697 0.000
Ca 0.354 0.646 0.500
Ca 0.500 0.000 0.250
Ca 0.500 0.000 0.750
Ca 0.646 0.354 0.500
Ca 0.697 0.303 0.000
Ca 0.803 0.803 0.500
Ca 0.854 0.854 0.000
Cd 0.125 0.875 0.302
Cd 0.125 0.875 0.698
Cd 0.375 0.375 0.198
Cd 0.375 0.375 0.802
Cd 0.625 0.625 0.198
Cd 0.625 0.625 0.802
Cd 0.875 0.125 0.302
Cd 0.875 0.125 0.698

no.,energy of formation (eV per atom)
1,-0.802
2,-1.054
3,-0.365
4,-2.460
5,-0.672
6,-0.516
7,-0.923
8,-0.288